[1]
## Cs2NaUCl6 (GGA-PBE)

Data for a geometry-optimized Cs2NaUCl6 structure.

Cell and atoms, written as CIF:
```
data_Cs2NaUCl6
_cell_length_a 7.8358
_cell_length_b 7.8358
_cell_length_c 7.8358
_cell_angle_alpha 60.00
_cell_angle_beta 60.00
_cell_angle_gamma 60.00
_symmetry_space_group_name_H-M 'P 1'
_symmetry_Int_Tables_number 1
loop_
_symmetry_equiv_pos_as_xyz
'x,y,z'
loop_
_atom_site_label
_atom_site_type_symbol
_atom_site_fract_x
_atom_site_fract_y
_atom_site_fract_z
Cs1 Cs 0.7500 0.7500 0.7500
U1 U 0.0000 0.0000 0.0000
Cl1 Cl 0.7531 0.2469 0.7531
Cl2 Cl 0.2469 0.7531 0.7531
Cl3 Cl 0.7531 0.2469 0.2469
Na1 Na 0.5000 0.5000 0.5000
Cl4 Cl 0.2469 0.2469 0.7531
Cl5 Cl 0.2469 0.7531 0.2469
Cl6 Cl 0.7531 0.7531 0.2469
Cs2 Cs 0.2500 0.2500 0.2500
```

***

[2]
## LaGa2Ni (GGA-PBE)

Data for a geometry-optimized LaGa2Ni structure.

Cell and atoms, written as CIF:
```
data_LaGa2Ni
_cell_length_a 9.0555
_cell_length_b 9.0555
_cell_length_c 4.2250
_cell_angle_alpha 90.00
_cell_angle_beta 90.00
_cell_angle_gamma 152.57
_symmetry_space_group_name_H-M 'P 1'
_symmetry_Int_Tables_number 1
loop_
_symmetry_equiv_pos_as_xyz
'x,y,z'
loop_
_atom_site_label
_atom_site_type_symbol
_atom_site_fract_x
_atom_site_fract_y
_atom_site_fract_z
Ga1 Ga 0.5000 0.5000 0.0000
Ni1 Ni 0.4292 0.5708 0.5000
Ga2 Ga 0.0000 0.0000 0.5000
Ga3 Ga 0.7088 0.2912 0.5000
Ni2 Ni 0.5708 0.4292 0.5000
La1 La 0.1409 0.8591 0.0000
La2 La 0.8591 0.1409 0.0000
Ga4 Ga 0.2912 0.7088 0.5000
```

***

[3]
## InP2H9N2O8 (GGA-PBE)

Data for a geometry-optimized InP2H9N2O8 structure.

Cell and atoms, written as CIF:
```
data_InP2H9N2O8
_cell_length_a 10.0069
_cell_length_b 10.0069
_cell_length_c 6.7554
_cell_angle_alpha 71.25
_cell_angle_beta 71.25
_cell_angle_gamma 124.39
_symmetry_space_group_name_H-M 'P 1'
_symmetry_Int_Tables_number 1
loop_
_symmetry_equiv_pos_as_xyz
'x,y,z'
loop_
_atom_site_label
_atom_site_type_symbol
_atom_site_fract_x
_atom_site_fract_y
_atom_site_fract_z
H1 H 0.0328 0.0681 0.0620
N1 N 0.2060 0.1657 0.5064
O1 O 0.5208 0.0167 0.6776
O2 O 0.1348 0.4840 0.4631
P1 P 0.7902 0.6321 0.7570
O3 O 0.5807 0.3305 0.5024
N2 N 0.2862 0.8268 0.5091
H2 H 0.2974 0.7302 0.5208
H3 H 0.1287 0.7439 0.6381
H4 H 0.1156 0.2320 0.1365
H5 H 0.1760 0.2442 0.5338
O4 O 0.9707 0.2192 0.3843
O5 O 0.9008 0.6491 0.8819
O6 O 0.6663 0.9165 0.0042
In1 In 0.8971 0.6476 0.2077
O7 O 0.6491 0.9008 0.3819
H6 H 0.0681 0.0328 0.5620
N3 N 0.1657 0.2060 0.0064
O8 O 0.5552 0.4047 0.9655
O9 O 0.4047 0.5552 0.4655
H7 H 0.7302 0.2974 0.0208
P2 P 0.4548 0.1134 0.7536
H8 H 0.7439 0.1287 0.1381
N4 N 0.8268 0.2862 0.0091
O10 O 0.8102 0.8073 0.1725
H9 H 0.2442 0.1760 0.0338
H10 H 0.3572 0.9323 0.3068
O11 O 0.3305 0.5807 0.0024
In2 In 0.6476 0.8971 0.7077
H11 H 0.2708 0.5269 0.4462
O12 O 0.4840 0.1348 0.9631
H12 H 0.3396 0.2660 0.3032
H13 H 0.9323 0.3572 0.8068
O13 O 0.2192 0.9707 0.8843
P3 P 0.1134 0.4548 0.2536
H14 H 0.3643 0.9018 0.5698
H15 H 0.5269 0.2708 0.9462
O14 O 0.0167 0.5208 0.1776
H16 H 0.9018 0.3643 0.0698
H17 H 0.2660 0.3396 0.8032
H18 H 0.2320 0.1156 0.6365
O15 O 0.9165 0.6663 0.5042
P4 P 0.6321 0.7902 0.2570
O16 O 0.8073 0.8102 0.6725
```

***

[4]
## DyMgSe3 (GGA-PBE)

Data for a geometry-optimized DyMgSe3 structure.

Computed properties:
Relative energy among the computed polymorphs, meV/atom: 0.0

Cell and atoms, written as CIF:
```
data_DyMgSe3
_cell_length_a 6.9085
_cell_length_b 6.9085
_cell_length_c 19.3413
_cell_angle_alpha 90.00
_cell_angle_beta 90.00
_cell_angle_gamma 120.00
_symmetry_space_group_name_H-M 'P 1'
_symmetry_Int_Tables_number 1
loop_
_symmetry_equiv_pos_as_xyz
'x,y,z'
loop_
_atom_site_label
_atom_site_type_symbol
_atom_site_fract_x
_atom_site_fract_y
_atom_site_fract_z
Se1 Se 0.3100 0.9681 0.9164
Se2 Se 0.6986 0.6753 0.2497
Se3 Se 0.6900 0.0319 0.0836
Dy1 Dy 0.0000 0.0000 0.6529
Se4 Se 0.3247 0.0234 0.2497
Se5 Se 0.3567 0.3653 0.4169
Mg1 Mg 0.3333 0.6667 0.8274
Se6 Se 0.0086 0.6433 0.4169
Mg2 Mg 0.0000 0.0000 0.1607
Se7 Se 0.9681 0.6581 0.0836
Mg3 Mg 0.6667 0.3333 0.1726
Mg4 Mg 0.0000 0.0000 0.8393
Mg5 Mg 0.6667 0.3333 0.4940
Dy2 Dy 0.6667 0.3333 0.6804
Se8 Se 0.0319 0.3419 0.9164
Dy3 Dy 0.3333 0.6667 0.0138
Se9 Se 0.6433 0.6347 0.5831
Mg6 Mg 0.3333 0.6667 0.5060
Dy4 Dy 0.6667 0.3333 0.9862
Se10 Se 0.9766 0.3014 0.2497
Dy5 Dy 0.0000 0.0000 0.3471
Se11 Se 0.6581 0.6900 0.9164
Dy6 Dy 0.3333 0.6667 0.3196
Se12 Se 0.0234 0.6986 0.7503
Se13 Se 0.3419 0.3100 0.0836
Se14 Se 0.6347 0.9914 0.4169
Se15 Se 0.3014 0.3247 0.7503
Se16 Se 0.6753 0.9766 0.7503
Se17 Se 0.9914 0.3567 0.5831
Se18 Se 0.3653 0.0086 0.5831
```

***

Density readings, ordered: 3.6 7.0 2.8 5.3 g/cm3
Formation energy readings, ordered: -2246 -624 -1544 -1506 meV per atom